No. 1
## CoPH16NO10 (PBE+U)

Data for CoPH16NO10 after structural relaxation.

Unit cell a=6.9859 b=6.1377 c=11.2420 alpha=90.00 beta=90.00 gamma=90.00
Space group Pmn2_1 (No. 31)
Unique sites:
Co  0.0000  0.1227  0.0000 x2
P  0.0000  0.5012  0.6255 x2
H  0.0000  0.1463  0.2661 x2
H  0.0000  0.2816  0.4027 x2
H  0.0000  0.6702  0.9615 x2
H  0.0000  0.7722  0.8284 x2
H  0.1172  0.5083  0.1184 x4
H  0.1201  0.0387  0.3789 x4
H  0.1794  0.8818  0.6410 x4
H  0.1797  0.6697  0.4256 x4
H  0.1985  0.2909  0.8054 x4
H  0.2499  0.1318  0.6304 x4
N  0.0000  0.1307  0.3574 x2
O  0.0000  0.4521  0.0761 x2
O  0.0000  0.5201  0.4872 x2
O  0.0000  0.7344  0.6808 x2
O  0.0000  0.8074  0.9157 x2
O  0.1827  0.3784  0.6684 x4
O  0.2066  0.0233  0.1208 x4
O  0.2256  0.2284  0.8869 x4

Summary:
DFT total energy	-154.64	eV/f.u.
M_tot	1.00	μB per formula unit
volume	8.31	Å³ per atom



No. 2
## Mn3O4 (PBE+U)

Data for Mn3O4 after structural relaxation.

Unit cell a=3.0699 b=9.9532 c=9.7251 alpha=90.00 beta=90.00 gamma=90.00
Space group Pbcm (No. 57)
Unique sites:
Mn  0.2046  0.1433  0.2500 x4
Mn  0.2849  0.6142  0.5700 x8
O  0.1347  0.2500  0.0000 x4
O  0.2926  0.5292  0.1118 x8
O  0.2950  0.7014  0.7500 x4

Summary:
DFT total energy	-53.51	eV/f.u.
M_tot	0.00	μB per formula unit
volume	10.61	Å³ per atom



No. 3
## YCrO3 (PBE+U)

Data for YCrO3 after structural relaxation.

Unit cell a=3.8539 b=3.8539 c=3.8539 alpha=90.00 beta=90.00 gamma=90.00
Space group Pm-3m (No. 221)
Unique sites:
Y  0.0000  0.0000  0.0000 x1
Cr  0.5000  0.5000  0.5000 x1
O  0.0000  0.5000  0.5000 x3

Summary:
DFT total energy	-41.38	eV/f.u.
M_tot	3.00	μB per formula unit
volume	11.45	Å³ per atom



No. 4
## Li4Fe5CoO12 (PBE+U)

Data for Li4Fe5CoO12 after structural relaxation.

Unit cell a=5.0837 b=5.0862 c=10.2546 alpha=90.13 beta=90.08 gamma=119.03
Space group P1 (No. 1)
Unique sites:
Li  0.0000  0.0000  0.0000 x1
Li  0.2022  0.2079  0.5032 x1
Li  0.5037  0.4968  0.0001 x1
Li  0.7128  0.6956  0.5027 x1
Fe  0.0185  0.1904  0.2513 x1
Fe  0.1887  0.0184  0.7514 x1
Fe  0.3497  0.8588  0.2520 x1
Fe  0.5203  0.6869  0.7511 x1
Fe  0.6881  0.5205  0.2508 x1
Co  0.8550  0.3517  0.7515 x1
O  0.0108  0.5255  0.1534 x1
O  0.0242  0.8751  0.3636 x1
O  0.1671  0.6629  0.6586 x1
O  0.1744  0.3394  0.8575 x1
O  0.3332  0.1839  0.1393 x1
O  0.3746  0.5255  0.3589 x1
O  0.5348  0.3671  0.6456 x1
O  0.5437  0.0389  0.8442 x1
O  0.6828  0.8337  0.1440 x1
O  0.6844  0.1995  0.3488 x1
O  0.8393  0.6716  0.8571 x1
O  0.8676  0.0322  0.6452 x1

Summary:
M_tot	25.01	μB per formula unit
distance to the lowest polymorph of the same formula	0	meV/atom
volume	10.54	Å³ per atom



No. 5
## Li6NbCo3P6O24 (PBE+U)

Data for Li6NbCo3P6O24 after structural relaxation.

Unit cell a=8.7088 b=8.7486 c=8.7616 alpha=60.80 beta=60.61 gamma=61.16
Space group P1 (No. 1)
Unique sites:
Li  0.0000  0.0000  0.0000 x1
Li  0.0914  0.8469  0.5246 x1
Li  0.1889  0.3297  0.4812 x1
Li  0.3887  0.7067  0.1801 x1
Li  0.6642  0.5219  0.8122 x1
Li  0.8266  0.1862  0.6594 x1
Nb  0.2071  0.5367  0.0212 x1
Co  0.0055  0.3366  0.8179 x1
Co  0.5024  0.8378  0.3094 x1
Co  0.7098  0.0474  0.5211 x1
P  0.1041  0.1277  0.2143 x1
P  0.3100  0.9361  0.7015 x1
P  0.4055  0.4360  0.6074 x1
P  0.6040  0.2250  0.1273 x1
P  0.7986  0.7347  0.9153 x1
P  0.8954  0.6475  0.4209 x1
O  0.0468  0.1569  0.0607 x1
O  0.0914  0.5886  0.2654 x1
O  0.1309  0.1068  0.7175 x1
O  0.1725  0.2942  0.1515 x1
O  0.2491  0.3800  0.6356 x1
O  0.2583  0.7829  0.9022 x1
O  0.2605  0.9405  0.2441 x1
O  0.3257  0.8777  0.5531 x1
O  0.3383  0.4996  0.7797 x1
O  0.4169  0.6072  0.4297 x1
O  0.4536  0.4232  0.0722 x1
O  0.4850  0.9564  0.6750 x1
O  0.5330  0.0726  0.1709 x1
O  0.5892  0.2805  0.6095 x1
O  0.6147  0.7701  0.0731 x1
O  0.6337  0.2083  0.2914 x1
O  0.7344  0.7015  0.3604 x1
O  0.7727  0.2312  0.9446 x1
O  0.8199  0.5791  0.8649 x1
O  0.8282  0.9078  0.7465 x1
O  0.8985  0.8038  0.4509 x1
O  0.9000  0.4642  0.5883 x1
O  0.9501  0.1254  0.4035 x1
O  0.9670  0.6622  0.9870 x1

Summary:
DFT total energy	-271.76	eV/f.u.
M_tot	10.00	μB per formula unit
volume	12.03	Å³ per atom



No. 6
## Na2FeO3 (PBE+U)

Data for Na2FeO3 after structural relaxation.

Unit cell a=5.3711 b=9.3130 c=5.7557 alpha=90.00 beta=109.14 gamma=90.00
Space group P2 (No. 3)
Unique sites:
Na  0.0000  0.0000  0.0000 x1
Na  0.0000  0.1554  0.5000 x1
Na  0.0000  0.3171  0.0000 x1
Na  0.0000  0.6554  0.0000 x1
Na  0.5000  0.1572  0.0000 x1
Na  0.5000  0.4942  0.0000 x1
Na  0.5000  0.6565  0.5000 x1
Na  0.5000  0.8118  0.0000 x1
Fe  0.0000  0.4893  0.5000 x1
Fe  0.0000  0.8236  0.5000 x1
Fe  0.5000  0.3237  0.5000 x1
Fe  0.5000  0.9894  0.5000 x1
O  0.1906  0.6477  0.7044 x2
O  0.2300  0.8437  0.2959 x2
O  0.2445  0.3474  0.6997 x2
O  0.2567  0.4646  0.2976 x2
O  0.2695  0.9686  0.7052 x2
O  0.3093  0.1645  0.2955 x2

Summary:
M_tot	4.00	μB per formula unit
distance to the lowest polymorph of the same formula	4	meV/atom
volume	11.33	Å³ per atom



No. 7
## AlReW2O8 (PBE+U)

Data for AlReW2O8 after structural relaxation.

Unit cell a=5.2010 b=5.6028 c=10.6202 alpha=90.00 beta=119.04 gamma=90.00
Space group P2/c (No. 13)
Unique sites:
Al  0.0000  0.1611  0.2500 x2
Re  0.5000  0.1359  0.7500 x2
W  0.2406  0.3432  0.9976 x4
O  0.0281  0.3800  0.1220 x4
O  0.0579  0.1046  0.6421 x4
O  0.4308  0.1235  0.3576 x4
O  0.4803  0.3683  0.8838 x4

Summary:
M_tot	1.31	μB per formula unit
distance to the lowest polymorph of the same formula	0	meV/atom
volume	11.27	Å³ per atom



No. 8
## LiNi9O10 (PBE+U)

Data for LiNi9O10 after structural relaxation.

Unit cell a=5.1302 b=5.9205 c=6.6448 alpha=102.87 beta=97.57 gamma=106.79
Space group P-1 (No. 2)
Unique sites:
Li  0.0000  0.0000  0.0000 x1
Ni  0.0000  0.5000  0.0000 x1
Ni  0.1992  0.3967  0.3965 x2
Ni  0.1998  0.9012  0.3971 x2
Ni  0.3964  0.2978  0.8006 x2
Ni  0.4015  0.8028  0.8030 x2
O  0.1032  0.4490  0.7008 x2
O  0.1066  0.9519  0.6930 x2
O  0.3070  0.8448  0.1035 x2
O  0.3076  0.3616  0.1042 x2
O  0.4990  0.7493  0.5020 x2

Summary:
DFT total energy	-98.68	eV/f.u.
M_tot	17.00	μB per formula unit
volume	9.21	Å³ per atom



No. 9
## SrSmHfCrO6 (PBE+U)

Data for SrSmHfCrO6 after structural relaxation.

Unit cell a=8.0164 b=8.0164 c=8.0164 alpha=90.00 beta=90.00 gamma=90.00
Space group F-43m (No. 216)
Unique sites:
Sr  0.0000  0.0000  0.0000 x4
Sm  0.0000  0.0000  0.5000 x4
Hf  0.2500  0.2500  0.7500 x4
Cr  0.2500  0.2500  0.2500 x4
O  0.0044  0.2500  0.2500 x24

Summary:
DFT total energy	-82.83	eV/f.u.
M_tot	3.00	μB per formula unit
volume	12.88	Å³ per atom



No. 10
## MnZnNiP2O9 (PBE+U)

Data for MnZnNiP2O9 after structural relaxation.

Unit cell a=14.3035 b=6.1845 c=7.2533 alpha=90.00 beta=90.00 gamma=90.00
Space group Pnma (No. 62)
Unique sites:
Mn  0.1187  0.2500  0.1476 x4
Zn  0.2162  0.2500  0.6196 x4
Ni  0.0000  0.0000  0.5000 x4
P  0.0665  0.7500  0.1395 x4
P  0.2001  0.7500  0.6057 x4
O  0.0059  0.2500  0.0115 x4
O  0.0199  0.7500  0.3289 x4
O  0.0525  0.2500  0.3557 x4
O  0.1373  0.5591  0.1223 x8
O  0.1418  0.5378  0.6086 x8
O  0.2269  0.2500  0.9440 x4
O  0.2347  0.2500  0.2829 x4

Summary:
DFT total energy	-91.32	eV/f.u.
M_tot	5.00	μB per formula unit
volume	11.46	Å³ per atom